Compound: MgTe
Source: the Materials Project database
Functional: PBE-GGA
Structure: optimized geometry

Cell: 4.6109 4.6109 7.5094 Å, 90.00 90.00 120.00°
Closest atoms and distances in Å follow each position.
Fractional positions:
Mg (0.3333, 0.6667, 0.0000)  4 Te 2.82-2.83
Mg (0.6667, 0.3333, 0.5000)  4 Te 2.82-2.83
Te (0.3333, 0.6667, 0.6238)  4 Mg 2.82-2.83
Te (0.6667, 0.3333, 0.1238)  4 Mg 2.82-2.83

SG: P6_3mc, No. 186
formation energy: -1.0866 eV per atom
piezoelectric modulus e_max: 0.3 C/m2

***

Compound: Ca2SnS4
Source: the Materials Project database
Functional: PBE-GGA
Structure: optimized geometry

Cell: 7.0850 11.5192 3.9759 Å, 90.00 90.00 90.00°
Closest atoms and distances in Å follow each position.
Fractional positions:
Ca (0.0854, 0.1851, 0.0000)  6 S 2.83-3.02
Ca (0.4146, 0.6851, 0.0000)  6 S 2.83-3.02
Ca (0.5854, 0.3149, 0.0000)  6 S 2.83-3.02
Ca (0.9146, 0.8149, 0.0000)  6 S 2.83-3.02
Sn (0.0000, 0.5000, 0.5000)  6 S 2.51-2.66
Sn (0.5000, 0.0000, 0.5000)  6 S 2.51-2.66
S (0.1323, 0.7020, 0.5000)  1 Sn 2.51
S (0.2352, 0.4476, 0.0000)  2 Sn 2.66, 1 Ca 2.91
S (0.2648, 0.9476, 0.0000)  2 Sn 2.66, 1 Ca 2.91
S (0.3677, 0.2020, 0.5000)  1 Sn 2.51
S (0.6323, 0.7980, 0.5000)  1 Sn 2.51
S (0.7352, 0.0524, 0.0000)  2 Sn 2.66, 1 Ca 2.91
S (0.7648, 0.5524, 0.0000)  2 Sn 2.66, 1 Ca 2.91
S (0.8677, 0.2980, 0.5000)  1 Sn 2.51

SG: Pbam, No. 55
formation energy: -1.6508 eV per atom
E above lowest polymorph: 0.0280 eV/atom

***

Compound: LuGaNi2
Source: the Materials Project database
Functional: PBE-GGA
Structure: optimized geometry

Cell: 5.0919 5.0919 16.0971 Å, 90.00 90.00 120.00°
Closest atoms and distances in Å follow each position.
Fractional positions:
Lu (0.3333, 0.6667, 0.0393)  12 Ni 2.89-3.01, 3 Lu 3.20
Lu (0.3333, 0.6667, 0.2427)  12 Ni 2.94-3.18, 6 Ga 3.27, 1 Lu 3.27
Lu (0.3333, 0.6667, 0.4663)  9 Ga 2.98-3.02, 3 Ni 2.99, 3 Lu 3.13
Lu (0.6667, 0.3333, 0.5337)  9 Ga 2.98-3.02, 3 Ni 2.99, 3 Lu 3.13
Lu (0.6667, 0.3333, 0.7573)  12 Ni 2.94-3.18, 6 Ga 3.27, 1 Lu 3.27
Lu (0.6667, 0.3333, 0.9607)  12 Ni 2.89-3.01, 3 Lu 3.20
Ga (0.1674, 0.3348, 0.6303)  3 Ni 2.46-2.57, 4 Ga 2.54-2.56
Ga (0.1674, 0.8326, 0.6303)  3 Ni 2.46-2.57, 4 Ga 2.54-2.56
Ga (0.3348, 0.1674, 0.3697)  3 Ni 2.46-2.57, 4 Ga 2.54-2.56
Ga (0.6652, 0.8326, 0.6303)  3 Ni 2.46-2.57, 4 Ga 2.54-2.56
Ga (0.8326, 0.1674, 0.3697)  3 Ni 2.46-2.57, 4 Ga 2.54-2.56
Ga (0.8326, 0.6652, 0.3697)  3 Ni 2.46-2.57, 4 Ga 2.54-2.56
Ni (0.0000, 0.0000, 0.0000)  6 Ni 2.48
Ni (0.0000, 0.0000, 0.2471)  3 Ga 2.46, 3 Ni 2.47
Ni (0.0000, 0.0000, 0.5000)  6 Ga 2.57
Ni (0.0000, 0.0000, 0.7529)  3 Ga 2.46, 3 Ni 2.47
Ni (0.1677, 0.3353, 0.8760)  7 Ni 2.44-2.56
Ni (0.1677, 0.8323, 0.8760)  7 Ni 2.44-2.56
Ni (0.3333, 0.6667, 0.7543)  3 Ni 2.44, 3 Ga 2.47
Ni (0.3353, 0.1677, 0.1240)  7 Ni 2.44-2.56
Ni (0.6647, 0.8323, 0.8760)  7 Ni 2.44-2.56
Ni (0.6667, 0.3333, 0.2457)  3 Ni 2.44, 3 Ga 2.47
Ni (0.8323, 0.1677, 0.1240)  7 Ni 2.44-2.56
Ni (0.8323, 0.6647, 0.1240)  7 Ni 2.44-2.56

SG: P-3m1, No. 164
formation energy: -0.4622 eV per atom

***

Compound: Ce5Si3
Source: the Materials Project database
Functional: PBE-GGA
Structure: optimized geometry

Cell: 8.8361 8.8361 5.9715 Å, 90.00 90.00 60.29°
Closest atoms and distances in Å follow each position.
Fractional positions:
Ce (0.1669, 0.1669, 0.0000)  2 Ce 2.99, 6 Si 3.13-3.14
Ce (0.1669, 0.1669, 0.5000)  2 Ce 2.99, 6 Si 3.13-3.14
Ce (0.2392, 0.4996, 0.2500)  5 Si 3.01-3.18
Ce (0.2389, 0.7611, 0.7500)  5 Si 3.00-3.18
Ce (0.4996, 0.2392, 0.7500)  5 Si 3.01-3.18
Ce (0.5004, 0.7608, 0.2500)  5 Si 3.01-3.18
Ce (0.7611, 0.2389, 0.2500)  5 Si 3.00-3.18
Ce (0.7608, 0.5004, 0.7500)  5 Si 3.01-3.18
Ce (0.8331, 0.8331, 0.0000)  2 Ce 2.99, 6 Si 3.13-3.14
Ce (0.8331, 0.8331, 0.5000)  2 Ce 2.99, 6 Si 3.13-3.14
Si (0.1164, 0.4999, 0.7500)  9 Ce 3.00-3.18
Si (0.1164, 0.8836, 0.2500)  9 Ce 3.01-3.18
Si (0.4999, 0.1164, 0.2500)  9 Ce 3.00-3.18
Si (0.5001, 0.8836, 0.7500)  9 Ce 3.00-3.18
Si (0.8836, 0.1164, 0.7500)  9 Ce 3.01-3.18
Si (0.8836, 0.5001, 0.2500)  9 Ce 3.00-3.18

SG: Cmcm, No. 63
formation energy: -0.4618 eV per atom
E above lowest polymorph: 0.0680 eV/atom

***

Compound: Dy2CN2O2
Source: the Materials Project database
Functional: PBE-GGA
Structure: optimized geometry

Cell: 3.7369 3.7369 8.2014 Å, 90.00 90.00 120.00°
Closest atoms and distances in Å follow each position.
Fractional positions:
Dy (0.3333, 0.6667, 0.3229)  4 O 2.24-2.30
Dy (0.6667, 0.3333, 0.6771)  4 O 2.24-2.30
C (0.0000, 0.0000, 0.0000)  2 N 1.24
N (0.0000, 0.0000, 0.1507)  1 C 1.24
N (0.0000, 0.0000, 0.8493)  1 C 1.24
O (0.3333, 0.6667, 0.6028)  4 Dy 2.24-2.30
O (0.6667, 0.3333, 0.3972)  4 Dy 2.24-2.30

SG: P-3m1, No. 164
formation energy: -2.3900 eV per atom

***

| no. | volume (Å³/cell) |
| --- | --- |
| 1 | 138.3 |
| 2 | 324.5 |
| 3 | 361.4 |
| 4 | 405.0 |
| 5 | 99.2 |